Entry w
This record from the Materials Project describes crystalline DyP5O14 at its relaxed geometry. The functional is PBE.

Structure (POSCAR):
```
DyP5O14
1.0
8.770 0.000 0.000
0.000 8.971 0.000
-0.135 0.000 13.019
Dy P O
4 20 56
Direct
0.222 0.186 0.002
0.222 0.314 0.502
0.778 0.686 0.498
0.778 0.814 0.998
0.009 0.507 0.703
0.009 0.993 0.203
0.185 0.743 0.500
0.185 0.757 0.000
0.254 0.545 0.163
0.254 0.955 0.663
0.276 0.549 0.838
0.276 0.951 0.338
0.492 0.003 0.827
0.492 0.497 0.327
0.508 0.503 0.673
0.508 0.997 0.173
0.724 0.049 0.662
0.724 0.451 0.162
0.746 0.045 0.337
0.746 0.455 0.837
0.815 0.243 0.000
0.815 0.257 0.500
0.991 0.007 0.797
0.991 0.493 0.297
0.029 0.689 0.993
0.029 0.811 0.493
0.086 0.120 0.852
0.086 0.380 0.352
0.088 0.569 0.206
0.088 0.931 0.706
0.090 0.115 0.149
0.090 0.385 0.649
0.131 0.600 0.774
0.131 0.900 0.274
0.211 0.580 0.498
0.211 0.920 0.998
0.270 0.099 0.387
0.270 0.401 0.887
0.277 0.693 0.100
0.277 0.807 0.600
0.281 0.095 0.606
0.281 0.405 0.106
0.297 0.685 0.914
0.297 0.815 0.414
0.363 0.581 0.257
0.363 0.919 0.757
0.413 0.115 0.124
0.413 0.385 0.624
0.414 0.583 0.765
0.414 0.917 0.265
0.418 0.123 0.888
0.418 0.377 0.388
0.582 0.623 0.612
0.582 0.877 0.112
0.586 0.083 0.735
0.586 0.417 0.235
0.587 0.615 0.376
0.587 0.885 0.876
0.637 0.081 0.243
0.637 0.419 0.743
0.703 0.185 0.586
0.703 0.315 0.086
0.719 0.595 0.894
0.719 0.905 0.394
0.723 0.193 0.400
0.723 0.307 0.900
0.730 0.599 0.113
0.730 0.901 0.613
0.789 0.080 0.002
0.789 0.420 0.502
0.869 0.100 0.726
0.869 0.400 0.226
0.910 0.615 0.351
0.910 0.885 0.851
0.912 0.069 0.294
0.912 0.431 0.794
0.914 0.620 0.648
0.914 0.880 0.148
0.971 0.189 0.507
0.971 0.311 0.007
```

Calculated values
crystal system = monoclinic

***

Entry x
This record from the Materials Project describes crystalline DyP5O14 at its relaxed geometry. The functional is PBE.

Structure (POSCAR):
```
DyP5O14
1.0
6.522 -6.467 0.000
6.522 6.467 0.000
-0.341 0.000 12.598
Dy P O
4 20 56
Direct
0.021 0.979 0.750
0.468 0.532 0.750
0.532 0.468 0.250
0.979 0.021 0.250
0.020 0.684 0.395
0.071 0.572 0.742
0.113 0.178 0.000
0.178 0.113 0.500
0.182 0.455 0.109
0.316 0.980 0.105
0.325 0.627 0.467
0.373 0.675 0.033
0.428 0.929 0.758
0.455 0.182 0.609
0.545 0.818 0.391
0.572 0.071 0.242
0.627 0.325 0.967
0.675 0.373 0.533
0.684 0.020 0.895
0.818 0.545 0.891
0.822 0.887 0.500
0.887 0.822 0.000
0.929 0.428 0.258
0.980 0.316 0.605
0.006 0.480 0.639
0.012 0.141 0.086
0.031 0.486 0.163
0.038 0.784 0.306
0.040 0.728 0.719
0.079 0.149 0.887
0.110 0.277 0.529
0.141 0.012 0.586
0.149 0.079 0.387
0.149 0.352 0.009
0.154 0.675 0.476
0.210 0.605 0.055
0.216 0.962 0.194
0.220 0.520 0.769
0.272 0.960 0.781
0.277 0.110 0.029
0.299 0.398 0.179
0.325 0.846 0.024
0.346 0.536 0.369
0.352 0.149 0.509
0.371 0.579 0.574
0.395 0.790 0.445
0.398 0.299 0.679
0.421 0.629 0.926
0.464 0.654 0.131
0.480 0.006 0.139
0.480 0.780 0.731
0.486 0.031 0.663
0.514 0.969 0.337
0.520 0.220 0.269
0.520 0.994 0.861
0.536 0.346 0.869
0.579 0.371 0.074
0.602 0.701 0.321
0.605 0.210 0.555
0.629 0.421 0.426
0.648 0.851 0.491
0.654 0.464 0.631
0.675 0.154 0.976
0.701 0.602 0.821
0.723 0.890 0.971
0.728 0.040 0.219
0.780 0.480 0.231
0.784 0.038 0.806
0.790 0.395 0.945
0.846 0.325 0.524
0.851 0.648 0.991
0.851 0.921 0.613
0.859 0.988 0.414
0.890 0.723 0.471
0.921 0.851 0.113
0.960 0.272 0.281
0.962 0.216 0.694
0.969 0.514 0.837
0.988 0.859 0.914
0.994 0.520 0.361
```

Calculated values
crystal system = monoclinic

***

Ranked by calculated energy, most stable first: entry x, entry w.